An optimized crystal structure of VCrO3, computed with PBE with a Hubbard U.

The structure in POSCAR format:
```
VCrO3
1.0
4.861 -2.566 0.000
4.861 2.566 0.000
-2.666 0.000 8.426
V Cr O
4 4 12
Direct
0.097 0.097 0.200
0.158 0.146 0.550
0.854 0.842 0.450
0.903 0.903 0.800
0.350 0.353 0.950
0.401 0.395 0.300
0.605 0.599 0.700
0.647 0.650 0.050
0.311 0.689 0.500
0.349 0.648 0.151
0.352 0.651 0.849
0.400 0.099 0.098
0.401 0.097 0.401
0.448 0.054 0.750
0.798 0.202 0.000
0.847 0.147 0.348
0.853 0.153 0.652
0.901 0.600 0.902
0.903 0.599 0.599
0.946 0.552 0.250
```

Properties
E_form in meV per atom: -2439.0
Mass density in g/cm3: 4.77
Final energy in eV/atom: -8.00

An optimized crystal structure of Ba2LiMn2O6, computed with PBE with a Hubbard U.

The structure in POSCAR format:
```
Ba2LiMn2O6
1.0
5.266 0.000 0.000
0.000 2.868 5.060
0.000 -2.868 5.060
Ba Li Mn O
2 1 2 6
Direct
0.000 0.000 0.000
0.500 0.356 0.356
0.000 0.323 0.323
0.255 0.673 0.673
0.745 0.673 0.673
0.000 0.501 0.501
0.000 0.510 0.965
0.000 0.965 0.510
0.500 0.382 0.830
0.500 0.830 0.382
0.500 0.836 0.836
```

Properties
E_form in meV per atom: -2290.6
Polymorph energy (0 for the lowest one) in eV per formula unit: 0.83
Mass density in g/cm3: 5.30
Total magnetization in μB/atom: 0.64
Final energy in eV/atom: -6.50

An optimized crystal structure of FeO2, computed with PBE with a Hubbard U.

The structure in POSCAR format:
```
FeO2
1.0
10.083 0.000 0.000
0.000 2.969 0.000
-0.035 0.000 10.205
Fe O
8 16
Direct
0.000 0.000 0.000
0.006 0.500 0.312
0.169 0.000 0.508
0.193 0.500 0.823
0.486 0.500 0.470
0.511 0.000 0.785
0.678 0.500 0.988
0.690 0.000 0.303
0.003 0.500 0.875
0.008 0.500 0.126
0.041 0.500 0.500
0.132 0.000 0.318
0.173 0.000 0.698
0.198 0.000 0.947
0.294 0.500 0.496
0.386 0.500 0.797
0.482 0.000 0.350
0.509 0.000 0.592
0.554 0.000 0.981
0.636 0.500 0.790
0.677 0.500 0.181
0.680 0.500 0.426
0.802 0.000 0.983
0.886 0.000 0.317
```

Properties
E_form in meV per atom: -1236.4
Mass density in g/cm3: 3.82
Total magnetization in μB/atom: 1.33
Final energy in eV/atom: -6.15

An optimized crystal structure of BaLaCoSbO6, computed with PBE with a Hubbard U.

The structure in POSCAR format:
```
BaLaCoSbO6
1.0
-2.877 2.877 4.099
2.877 -2.877 4.099
2.877 2.877 -4.099
Ba La Co Sb O
1 1 1 1 6
Direct
0.000 0.000 0.000
0.500 0.500 0.000
0.250 0.750 0.500
0.750 0.250 0.500
0.064 0.082 0.605
0.477 0.459 0.395
0.504 0.004 0.500
0.541 0.936 0.018
0.918 0.523 0.982
0.996 0.496 0.500
```

Properties
E_form in meV per atom: -2518.8
Mass density in g/cm3: 6.77
Total magnetization in μB/atom: 0.30
Final energy in eV/atom: -6.72

An optimized crystal structure of Cs2MnF4, computed with PBE with a Hubbard U.

The structure in POSCAR format:
```
Cs2MnF4
1.0
-2.209 2.209 7.455
2.209 -2.209 7.455
2.209 2.209 -7.455
Cs Mn F
2 1 4
Direct
0.148 0.148 0.000
0.852 0.852 0.000
0.500 0.500 0.000
0.000 0.500 0.500
0.357 0.357 0.000
0.500 0.000 0.500
0.643 0.643 0.000
```

Properties
E_form in meV per atom: -2969.1
Mass density in g/cm3: 4.53
Final energy in eV/atom: -5.13

An optimized crystal structure of LiVF4, computed with PBE with a Hubbard U.

The structure in POSCAR format:
```
LiVF4
1.0
5.115 0.000 0.000
-0.038 5.172 0.000
-1.193 -0.215 5.044
Li V F
2 2 8
Direct
0.180 0.499 0.242
0.820 0.501 0.758
0.304 0.050 0.710
0.696 0.950 0.290
0.011 0.206 0.409
0.170 0.338 0.899
0.332 0.856 0.047
0.489 0.759 0.529
0.511 0.241 0.471
0.668 0.144 0.953
0.830 0.662 0.101
0.989 0.794 0.591
```

Properties
E_form in meV per atom: -3165.2
Polymorph energy (0 for the lowest one) in eV per formula unit: 0.32
Mass density in g/cm3: 3.33
Total magnetization in μB/atom: 0.33
Final energy in eV/atom: -5.68

Question: E_form of number 3 (FeO2)?
Answer: -1236.4 meV per atom